1.
DFT (PBE-GGA) results for crystalline Zr3CoSe6 at its relaxed geometry.

* DFT formation energy: -1.419 eV per atom

Cell lengths 7.155, 7.155, 7.155 Å; angles 53.85, 53.85, 53.85 degrees
Fractional positions:
Zr 0.500 0.500 0.500
Zr 0.168 0.168 0.168
Zr 0.832 0.832 0.832
Co 0.000 0.000 0.000
Se 0.923 0.593 0.256
Se 0.256 0.923 0.593
Se 0.593 0.256 0.923
Se 0.407 0.744 0.077
Se 0.744 0.077 0.407
Se 0.077 0.407 0.744

2.
DFT (PBE-GGA) results for crystalline Co2Si3 at its relaxed geometry.

* DFT formation energy: -0.283 eV per atom

Cell lengths 5.391, 5.391, 8.432 Å; angles 90.00, 90.00, 90.00 degrees
Fractional positions:
Co 0.500 0.000 0.130
Co 0.500 0.000 0.630
Co 0.000 0.500 0.870
Co 0.000 0.500 0.370
Co 0.500 0.500 0.250
Co 0.500 0.500 0.750
Co 0.000 0.000 0.500
Co 0.000 0.000 0.000
Si 0.346 0.205 0.409
Si 0.654 0.795 0.409
Si 0.346 0.795 0.909
Si 0.654 0.205 0.909
Si 0.205 0.654 0.591
Si 0.795 0.346 0.591
Si 0.795 0.654 0.091
Si 0.205 0.346 0.091
Si 0.172 0.172 0.750
Si 0.828 0.828 0.750
Si 0.172 0.828 0.250
Si 0.828 0.172 0.250

3.
DFT (PBE-GGA) results for crystalline Co3Si at its relaxed geometry.

* DFT formation energy: -0.256 eV per atom

Cell lengths 4.976, 4.976, 3.973 Å; angles 90.00, 90.00, 120.00 degrees
Fractional positions:
Co 0.833 0.167 0.250
Co 0.833 0.665 0.250
Co 0.335 0.167 0.250
Co 0.167 0.833 0.750
Co 0.167 0.335 0.750
Co 0.665 0.833 0.750
Si 0.333 0.667 0.250
Si 0.667 0.333 0.750

4.
DFT (PBE-GGA) results for crystalline SmCo9Si2 at its relaxed geometry.

* DFT formation energy: -0.289 eV per atom

Cell lengths 7.546, 7.546, 7.546 Å; angles 100.03, 100.03, 130.66 degrees
Fractional positions:
Sm 0.750 0.250 0.500
Sm 0.500 0.500 0.000
Co 0.250 0.750 0.500
Co 0.266 0.436 0.582
Co 0.854 0.684 0.418
Co 0.934 0.016 0.330
Co 0.396 0.314 0.330
Co 0.984 0.066 0.670
Co 0.686 0.604 0.670
Co 0.316 0.146 0.582
Co 0.564 0.146 0.830
Co 0.984 0.314 0.918
Co 0.396 0.066 0.082
Co 0.316 0.734 0.170
Co 0.854 0.436 0.170
Co 0.266 0.684 0.830
Co 0.686 0.016 0.082
Co 0.934 0.604 0.918
Co 0.564 0.734 0.418
Co 0.000 0.000 0.000
Si 0.125 0.875 0.750
Si 0.625 0.875 0.750
Si 0.125 0.875 0.250
Si 0.125 0.375 0.250

5.
DFT (PBE-GGA) results for crystalline Sm6Co2Si3 at its relaxed geometry.

* DFT formation energy: -0.415 eV per atom

Cell lengths 4.438, 11.568, 11.661 Å; angles 60.39, 90.00, 90.00 degrees
Fractional positions:
Sm 0.000 0.235 0.774
Sm 0.000 0.768 0.002
Sm 0.000 0.000 0.231
Sm 0.500 0.759 0.232
Sm 0.500 0.233 0.011
Sm 0.500 0.007 0.766
Sm 0.000 0.858 0.625
Sm 0.000 0.623 0.511
Sm 0.000 0.509 0.866
Sm 0.500 0.138 0.376
Sm 0.500 0.385 0.478
Sm 0.500 0.477 0.141
Co 0.750 0.000 0.000
Co 0.250 0.000 0.000
Co 0.000 0.562 0.285
Co 0.000 0.290 0.148
Si 0.000 0.337 0.327
Si 0.500 0.666 0.667
Si 0.000 0.151 0.561
Si 0.500 0.440 0.712
Si 0.500 0.714 0.846
Si 0.500 0.849 0.441

6.
DFT (PBE-GGA) results for crystalline Sm4Co10Si at its relaxed geometry.

* DFT formation energy: 0.629 eV per atom

Cell lengths 8.096, 9.427, 9.427 Å; angles 79.37, 64.57, 64.57 degrees
Fractional positions:
Sm 0.441 0.218 0.782
Sm 0.441 0.782 0.218
Sm 0.473 0.718 0.718
Sm 0.809 0.718 0.282
Sm 0.809 0.282 0.718
Sm 0.909 0.282 0.282
Sm 0.777 0.782 0.782
Sm 0.341 0.218 0.218
Co 0.125 0.750 0.250
Co 0.125 0.250 0.750
Co 0.625 0.250 0.250
Co 0.125 0.750 0.750
Co 0.300 0.870 0.516
Co 0.686 0.130 0.484
Co 0.066 0.984 0.370
Co 0.950 0.984 0.630
Co 0.950 0.630 0.984
Co 0.420 0.016 0.630
Co 0.564 0.016 0.370
Co 0.564 0.370 0.016
Co 0.184 0.130 0.516
Co 0.184 0.516 0.130
Co 0.830 0.870 0.484
Co 0.830 0.484 0.870
Co 0.300 0.516 0.870
Co 0.686 0.484 0.130
Co 0.420 0.630 0.016
Co 0.066 0.370 0.984
Si 0.000 0.000 0.000
Si 0.250 0.500 0.500

7.
DFT (PBE-GGA) results for crystalline SmCoSi3 at its relaxed geometry.

* DFT formation energy: -0.628 eV per atom

Cell lengths 5.591, 5.591, 5.591 Å; angles 137.06, 137.06, 62.35 degrees
Fractional positions:
Sm 0.005 0.005 0.000
Co 0.661 0.661 0.000
Si 0.761 0.261 0.500
Si 0.261 0.761 0.500
Si 0.427 0.427 0.000

8.
DFT (PBE-GGA) results for crystalline SmCo2Si2 at its relaxed geometry.

* DFT formation energy: -0.763 eV per atom

Cell lengths 3.920, 3.920, 5.668 Å; angles 110.23, 110.23, 90.00 degrees
Fractional positions:
Sm 0.000 0.000 0.000
Co 0.750 0.250 0.500
Co 0.250 0.750 0.500
Si 0.631 0.631 0.262
Si 0.369 0.369 0.738

9.
DFT (PBE-GGA) results for crystalline SmCoSi2 at its relaxed geometry.

* DFT formation energy: -0.738 eV per atom

Cell lengths 4.044, 4.111, 8.387 Å; angles 75.81, 90.00, 90.00 degrees
Fractional positions:
Sm 0.250 0.107 0.787
Sm 0.750 0.893 0.213
Co 0.750 0.681 0.638
Co 0.250 0.319 0.362
Si 0.250 0.750 0.500
Si 0.750 0.250 0.500
Si 0.750 0.543 0.914
Si 0.250 0.457 0.086

Question: Among the records above, which one has the highest DFT formation energy?
Answer: Sm4Co10Si

What did the first record say?
DFT (PBE-GGA) results for crystalline Zr3CoSe6 at its relaxed geometry.

* DFT formation energy: -1.419 eV per atom

Cell lengths 7.155, 7.155, 7.155 Å; angles 53.85, 53.85, 53.85 degrees
Fractional positions:
Zr 0.500 0.500 0.500
Zr 0.168 0.168 0.168
Zr 0.832 0.832 0.832
Co 0.000 0.000 0.000
Se 0.923 0.593 0.256
Se 0.256 0.923 0.593
Se 0.593 0.256 0.923
Se 0.407 0.744 0.077
Se 0.744 0.077 0.407
Se 0.077 0.407 0.744

Question: Which value of DFT formation energy does entry 9 give?
Answer: -0.738 eV per atom

Question: Among the records above, which one has the lowest DFT formation energy?
Answer: Zr3CoSe6